(A)
BaP2H4O8 PBE relaxed; space-group type = No. 2; size of the total moment = 0.000 μB/atom; calculated volume = 13.40 A^3/atom
1.0
-0.471 -5.274 4.692
-2.413 -2.960 -6.378
8.173 0.078 -1.309
Ba P H O
2 4 8 16
Direct
0.727 0.757 0.872 Ba
0.273 0.243 0.128 Ba
0.731 0.241 0.886 P
0.269 0.759 0.114 P
0.768 0.683 0.413 P
0.232 0.317 0.587 P
0.940 0.378 0.678 H
0.060 0.622 0.322 H
0.409 0.128 0.751 H
0.591 0.872 0.249 H
0.500 0.500 0.500 H
0.000 0.500 0.500 H
0.743 0.466 0.114 H
0.257 0.534 0.886 H
0.644 0.357 0.030 O
0.356 0.643 0.970 O
0.878 0.148 0.965 O
0.122 0.852 0.035 O
0.812 0.387 0.789 O
0.188 0.613 0.211 O
0.534 0.077 0.786 O
0.466 0.923 0.214 O
0.748 0.769 0.259 O
0.252 0.231 0.741 O
0.586 0.501 0.386 O
0.414 0.499 0.614 O
0.955 0.589 0.399 O
0.045 0.411 0.601 O
0.185 0.190 0.412 O
0.815 0.810 0.588 O

(B)
BaP2H4O8 PBE relaxed; space-group type = No. 56; size of the total moment = 0.000 μB/atom; calculated volume = 11.84 A^3/atom
1.0
-1.406 5.908 -4.877
-7.889 -3.142 -1.531
-3.834 5.715 8.028
Ba P H O
4 8 16 32
Direct
0.750 0.900 0.250 Ba
0.250 0.600 0.750 Ba
0.250 0.100 0.750 Ba
0.750 0.400 0.250 Ba
0.075 0.708 0.423 P
0.425 0.708 0.077 P
0.575 0.792 0.577 P
0.925 0.792 0.923 P
0.925 0.292 0.577 P
0.575 0.292 0.923 P
0.425 0.208 0.423 P
0.075 0.208 0.077 P
0.918 0.802 0.578 H
0.582 0.802 0.922 H
0.418 0.698 0.422 H
0.082 0.698 0.078 H
0.082 0.198 0.422 H
0.418 0.198 0.078 H
0.582 0.302 0.578 H
0.918 0.302 0.922 H
0.184 0.949 0.382 H
0.316 0.949 0.118 H
0.684 0.551 0.618 H
0.816 0.551 0.882 H
0.816 0.051 0.618 H
0.684 0.051 0.882 H
0.316 0.449 0.382 H
0.184 0.449 0.118 H
0.239 0.613 0.430 O
0.261 0.613 0.070 O
0.739 0.887 0.570 O
0.761 0.887 0.930 O
0.761 0.387 0.570 O
0.739 0.387 0.930 O
0.261 0.113 0.430 O
0.239 0.113 0.070 O
0.037 0.754 0.567 O
0.463 0.754 0.933 O
0.537 0.746 0.433 O
0.963 0.746 0.067 O
0.963 0.246 0.433 O
0.537 0.246 0.067 O
0.463 0.254 0.567 O
0.037 0.254 0.933 O
0.917 0.639 0.361 O
0.583 0.639 0.139 O
0.417 0.861 0.639 O
0.083 0.861 0.861 O
0.083 0.361 0.639 O
0.417 0.361 0.861 O
0.583 0.139 0.361 O
0.917 0.139 0.139 O
0.103 0.867 0.348 O
0.397 0.867 0.152 O
0.603 0.633 0.652 O
0.897 0.633 0.848 O
0.897 0.133 0.652 O
0.603 0.133 0.848 O
0.397 0.367 0.348 O
0.103 0.367 0.152 O

Verdict on stability: (A) comes out at the bottom.

(A)
BaH2S5O6 PBE relaxed; space-group type = No. 2; size of the total moment = 0.143 μB/atom; calculated volume = 23.00 A^3/atom
1.0
-1.365 -1.430 5.204
-6.112 -7.396 -3.657
11.022 -4.382 0.571
Ba H S O
2 4 10 12
Direct
0.754 0.213 0.399 Ba
0.246 0.787 0.601 Ba
0.280 0.260 0.535 H
0.720 0.740 0.465 H
0.594 0.128 0.122 H
0.406 0.872 0.878 H
0.246 0.925 0.319 S
0.754 0.075 0.681 S
0.246 0.447 0.320 S
0.754 0.553 0.680 S
0.198 0.462 0.143 S
0.802 0.538 0.857 S
0.409 0.623 0.139 S
0.591 0.377 0.861 S
0.195 0.785 0.142 S
0.805 0.215 0.858 S
0.156 0.859 0.401 O
0.844 0.141 0.599 O
0.090 0.326 0.303 O
0.910 0.674 0.697 O
0.160 0.572 0.402 O
0.840 0.428 0.598 O
0.097 0.037 0.302 O
0.903 0.963 0.698 O
0.503 0.424 0.346 O
0.497 0.576 0.654 O
0.495 0.037 0.656 O
0.505 0.963 0.344 O

(B)
BaH2S5O6 PBE relaxed; space-group type = No. 62; size of the total moment = 0.143 μB/atom; calculated volume = 22.15 A^3/atom
1.0
5.408 0.000 0.000
0.000 10.262 0.000
0.000 0.000 22.350
Ba H S O
4 8 20 24
Direct
0.207 0.250 0.549 Ba
0.793 0.750 0.451 Ba
0.293 0.750 0.049 Ba
0.707 0.250 0.951 Ba
0.204 0.250 0.010 H
0.796 0.750 0.990 H
0.296 0.750 0.510 H
0.704 0.250 0.490 H
0.359 0.250 0.678 H
0.641 0.750 0.322 H
0.141 0.750 0.178 H
0.859 0.250 0.822 H
0.294 0.087 0.319 S
0.706 0.913 0.681 S
0.206 0.913 0.819 S
0.706 0.587 0.681 S
0.794 0.087 0.181 S
0.294 0.413 0.319 S
0.794 0.413 0.181 S
0.206 0.587 0.819 S
0.012 0.250 0.181 S
0.988 0.750 0.819 S
0.488 0.750 0.681 S
0.512 0.250 0.319 S
0.307 0.011 0.409 S
0.693 0.989 0.591 S
0.193 0.989 0.909 S
0.693 0.511 0.591 S
0.807 0.011 0.091 S
0.307 0.489 0.409 S
0.807 0.489 0.091 S
0.193 0.511 0.909 S
0.184 0.104 0.449 O
0.816 0.896 0.551 O
0.316 0.896 0.949 O
0.816 0.604 0.551 O
0.684 0.104 0.051 O
0.184 0.396 0.449 O
0.684 0.396 0.051 O
0.316 0.604 0.949 O
0.169 0.611 0.399 O
0.831 0.389 0.601 O
0.331 0.389 0.899 O
0.831 0.111 0.601 O
0.669 0.611 0.101 O
0.169 0.889 0.399 O
0.669 0.889 0.101 O
0.331 0.111 0.899 O
0.069 0.988 0.077 O
0.931 0.012 0.923 O
0.431 0.012 0.577 O
0.931 0.488 0.923 O
0.569 0.988 0.423 O
0.069 0.512 0.077 O
0.569 0.512 0.423 O
0.431 0.488 0.577 O

Verdict on stability: (B) comes out at the bottom.

(A)
BaSiH2O4 PBE relaxed; space-group type = No. 2; size of the total moment = 0.000 μB/atom; calculated volume = 12.88 A^3/atom
1.0
6.757 2.007 -1.569
0.512 -1.705 -7.401
-2.891 6.850 -1.947
Ba Si H O
4 4 8 16
Direct
0.085 0.789 0.196 Ba
0.915 0.211 0.804 Ba
0.410 0.701 0.696 Ba
0.590 0.299 0.304 Ba
0.583 0.761 0.218 Si
0.417 0.239 0.782 Si
0.107 0.254 0.273 Si
0.893 0.746 0.727 Si
0.764 0.591 0.010 H
0.236 0.409 0.990 H
0.289 0.089 0.501 H
0.711 0.911 0.499 H
0.053 0.392 0.524 H
0.947 0.608 0.476 H
0.391 0.951 0.991 H
0.609 0.049 0.009 H
0.696 0.915 0.275 O
0.304 0.085 0.725 O
0.972 0.164 0.147 O
0.028 0.836 0.853 O
0.737 0.588 0.139 O
0.263 0.412 0.861 O
0.427 0.829 0.042 O
0.573 0.171 0.958 O
0.975 0.334 0.446 O
0.025 0.666 0.554 O
0.205 0.408 0.193 O
0.795 0.592 0.807 O
0.466 0.674 0.357 O
0.534 0.326 0.643 O
0.276 0.090 0.369 O
0.724 0.910 0.631 O

(B)
BaSiH2O4 PBE relaxed; space-group type = No. 2; size of the total moment = 0.000 μB/atom; calculated volume = 12.81 A^3/atom
1.0
-6.958 1.780 0.484
-1.257 -0.655 7.420
1.916 7.395 0.989
Ba Si H O
4 4 8 16
Direct
0.083 0.786 0.205 Ba
0.917 0.214 0.795 Ba
0.414 0.718 0.705 Ba
0.586 0.282 0.295 Ba
0.595 0.748 0.236 Si
0.405 0.252 0.764 Si
0.095 0.256 0.264 Si
0.905 0.744 0.736 Si
0.773 0.584 0.010 H
0.227 0.416 0.990 H
0.273 0.098 0.491 H
0.727 0.902 0.509 H
0.098 0.533 0.566 H
0.902 0.467 0.434 H
0.594 0.035 0.921 H
0.406 0.965 0.079 H
0.706 0.899 0.310 O
0.294 0.101 0.690 O
0.969 0.162 0.136 O
0.031 0.838 0.864 O
0.749 0.578 0.143 O
0.251 0.422 0.857 O
0.457 0.837 0.062 O
0.543 0.163 0.938 O
0.956 0.338 0.441 O
0.044 0.662 0.559 O
0.201 0.409 0.188 O
0.799 0.591 0.812 O
0.466 0.660 0.368 O
0.534 0.340 0.632 O
0.255 0.091 0.358 O
0.745 0.909 0.642 O

Verdict on stability: (A) comes out at the bottom.